Computed, not measured: a relaxed structure of CoMoH2SeO7 at the GGA+U level of DFT.

Properties
**Density**: 4.1 Mg/m³
**Energy of formation from the pure elements**: -1.51 eV/atom
**Calculated volume**: 284.5 Å³/cell

Lattice parameters (Å, degrees): 5.064 6.714 8.958 91.72 96.92 109.36
Fractional positions:
Co (0.500, 0.000, 0.000)
Co (0.000, 0.500, 0.500)
Mo (0.207, 0.408, 0.103)
Mo (0.793, 0.592, 0.897)
H (0.622, 0.145, 0.361)
H (0.467, 0.250, 0.480)
H (0.533, 0.750, 0.520)
H (0.378, 0.855, 0.639)
Se (0.854, 0.814, 0.258)
Se (0.146, 0.186, 0.742)
O (0.162, 0.690, 0.010)
O (0.268, 0.161, 0.103)
O (0.630, 0.585, 0.129)
O (0.656, 0.975, 0.223)
O (0.145, 0.461, 0.287)
O (0.645, 0.259, 0.439)
O (0.791, 0.726, 0.430)
O (0.209, 0.274, 0.570)
O (0.355, 0.741, 0.561)
O (0.855, 0.539, 0.713)
O (0.344, 0.025, 0.777)
O (0.370, 0.415, 0.871)
O (0.732, 0.839, 0.897)
O (0.838, 0.310, 0.990)